# NaPrTl2, optimized geometry, DFT GGA-PBE
# ΔE_f: -0.27 eV per atom
# V: 29.0 Å³ per atom
data_NaPrTl2
_chemical_formula_sum 'Na4 Pr4 Tl8'
_symmetry_space_group_name_H-M 'F m -3 m'
_symmetry_Int_Tables_number 225
_symmetry_space_group_name_Hall '-F 4 2 3'
_cell_length_a 7.7455
_cell_length_b 7.7455
_cell_length_c 7.7455
_cell_angle_alpha 90.00
_cell_angle_beta 90.00
_cell_angle_gamma 90.00
loop_
_atom_site_label
_atom_site_type_symbol
_atom_site_fract_x
_atom_site_fract_y
_atom_site_fract_z
Na1 Na 0.0000 0.0000 0.0000
Pr1 Pr 0.0000 0.0000 0.5000
Tl1 Tl 0.2500 0.2500 0.2500